Entry 1:
Computed, not measured: a relaxed structure of NaCa2Sn2PS5O24 at the PBE level of DFT.

For the theoretical density, the calculation gives 2.781 Mg/m³. As for the total magnetization: 0.00 μB per formula unit. The space-group type is P1 (1). For the energy relative to the elements, the calculation gives -2229.7 meV/atom.

Geometry as extended XYZ:
```
105
Lattice="8.971 -0.015 0.009 -4.499 7.801 0.014 0.022 0.053 23.464" Properties=species:S:1:pos:R:3 pbc="T T T"
Na 4.557 2.640 19.498
Na 4.396 2.620 7.826
Na 0.020 5.266 3.889
Ca 0.005 0.073 20.105
Ca 4.500 2.622 16.040
Ca 4.447 2.604 4.491
Ca 4.487 2.626 11.440
Ca -0.018 5.171 0.450
Ca 0.011 5.227 12.299
Sn -4.461 7.778 8.275
Sn 4.481 7.818 15.286
Sn 4.499 7.726 3.519
Sn 4.553 2.645 23.039
Sn 0.019 5.279 7.391
Sn -0.041 5.192 19.143
P -1.913 7.728 5.938
P 3.126 5.601 5.941
P -1.384 3.011 21.522
S -1.206 2.293 5.918
S 1.278 2.383 17.642
S -3.096 5.578 17.654
S 1.817 7.731 17.676
S 7.222 2.516 13.758
S 3.055 0.300 13.750
S 3.213 5.041 13.763
S 5.730 4.921 2.020
S 5.893 0.340 2.027
S 1.844 2.504 1.999
S 2.643 5.122 21.523
S -1.210 7.589 21.529
S 1.369 7.529 9.689
S 1.274 2.897 9.645
S -2.631 5.242 9.672
O 1.695 0.141 7.167
O 3.689 6.304 7.192
O 8.026 1.464 7.137
O 1.025 1.568 18.816
O 5.306 6.198 18.841
O 7.159 0.112 18.830
O 2.636 7.513 16.417
O 0.677 1.769 16.392
O -3.337 6.396 16.400
O 3.328 6.469 4.641
O -0.616 1.689 4.674
O -2.770 7.512 4.634
O 6.402 2.709 14.961
O 3.636 0.922 14.947
O 3.460 4.227 14.960
O 5.464 4.109 3.194
O 5.316 0.987 3.195
O 2.685 2.678 3.172
O 2.671 2.297 0.735
O 5.143 4.309 0.760
O 5.654 1.144 0.758
O 3.236 1.123 12.540
O 3.835 4.470 12.553
O 6.412 2.267 12.552
O 1.855 5.299 22.726
O -0.863 3.674 22.770
O -0.922 6.846 22.739
O 1.143 6.706 10.852
O 0.703 3.501 10.824
O -1.812 5.434 10.843
O -1.779 5.040 8.406
O 0.756 6.900 8.427
O 1.026 3.751 8.386
O -1.205 3.932 20.217
O -0.541 6.997 20.295
O 1.792 4.882 20.284
O -3.453 6.503 9.522
O 2.868 7.626 9.507
O 0.585 1.562 9.461
O -0.851 1.646 21.298
O -2.630 7.751 21.333
O 3.548 6.227 21.327
O 8.050 1.243 13.935
O 1.540 0.218 13.930
O 3.892 6.397 13.944
O 5.030 6.267 2.115
O 7.408 0.271 2.148
O 1.004 1.243 2.126
O 5.417 1.079 17.517
O 2.722 2.587 17.498
O 5.339 4.207 17.522
O 3.761 4.233 5.879
O 6.314 2.434 5.835
O 3.506 1.123 5.868
O 3.462 3.822 21.632
O 5.973 2.894 21.623
O 3.934 1.185 21.618
O 5.289 1.071 9.726
O 2.729 2.712 9.687
O 5.452 4.061 9.712
O 0.957 3.663 1.873
O -1.798 5.158 1.892
O 0.852 6.784 1.905
O -0.916 6.761 13.584
O 1.788 5.249 13.583
O -0.850 3.657 13.571
O -1.078 6.388 6.034
O 1.549 5.481 6.026
O -0.547 3.645 6.020
O 0.594 3.736 17.756
O -1.577 5.523 17.751
O 0.991 6.454 17.806
```

---

Entry 2:
Computed, not measured: a relaxed structure of NbSe2 at the PBE level of DFT.

For the theoretical density, the calculation gives 5.662 Mg/m³. The space-group type is R3m (160). For the energy relative to the elements, the calculation gives -1155.1 meV/atom.

Geometry as extended XYZ:
```
3
Lattice="0.026 5.300 -4.952 -2.468 6.261 -2.706 0.883 6.921 -1.981" Properties=species:S:1:pos:R:3 pbc="T T T"
Nb -1.041 12.336 -6.434
Se -0.647 7.664 -3.997
Se -0.395 4.685 -2.443
```